A geometry-optimized Zr2O structure. Source: Materials Project, functional GGA-PBE.

```
Zr2O
1.0
5.683 0.000 0.000
-2.841 4.921 0.000
0.000 0.000 10.525
Zr O
12 6
direct
0.000 0.333 0.126
0.000 0.667 0.874
0.001 0.342 0.629
0.001 0.659 0.371
0.333 0.000 0.126
0.333 0.333 0.874
0.341 0.342 0.371
0.341 0.999 0.629
0.658 0.659 0.629
0.658 0.999 0.371
0.667 0.000 0.874
0.667 0.667 0.126
0.000 0.000 0.000
0.333 0.667 0.243
0.333 0.667 0.500
0.333 0.667 0.757
0.667 0.333 0.000
0.667 0.333 0.500
```

Results
ΔH_f (0 K)	-1.9908	eV per atom
space-group type	P312
density	6717	kg/m3

A geometry-optimized CeYZn2 structure. Source: Materials Project, functional GGA-PBE.

```
CeYZn2
1.0
0.000 3.610 3.610
3.610 0.000 3.610
3.610 3.610 0.000
Ce Y Zn
1 1 2
direct
0.000 0.000 0.000
0.500 0.500 0.500
0.250 0.250 0.250
0.750 0.750 0.750
```

Results
ΔH_f (0 K)	-0.2738	eV per atom
space-group type	Fm-3m
magnetic moment	1.0	μB per cell
density	6352	kg/m3

A geometry-optimized Ba3SrNb2O9 structure. Source: Materials Project, functional GGA-PBE.

```
Ba3SrNb2O9
1.0
6.151 0.000 0.000
-3.075 5.327 0.000
0.000 0.000 15.720
Ba Sr Nb O
6 2 4 18
direct
0.000 0.000 0.250
0.000 0.000 0.750
0.333 0.667 0.123
0.333 0.667 0.377
0.667 0.333 0.623
0.667 0.333 0.877
0.000 0.000 0.000
0.000 0.000 0.500
0.333 0.667 0.654
0.333 0.667 0.846
0.667 0.333 0.154
0.667 0.333 0.346
0.041 0.474 0.750
0.114 0.761 0.599
0.114 0.761 0.901
0.239 0.353 0.599
0.239 0.353 0.901
0.353 0.114 0.099
0.353 0.114 0.401
0.433 0.959 0.750
0.474 0.433 0.250
0.526 0.567 0.750
0.567 0.041 0.250
0.647 0.886 0.599
0.647 0.886 0.901
0.761 0.647 0.099
0.761 0.647 0.401
0.886 0.239 0.099
0.886 0.239 0.401
0.959 0.526 0.250
```

Results
ΔH_f (0 K)	-3.2638	eV per atom
space-group type	P6_3/m
magnetic moment	0.0	μB per cell
density	5348	kg/m3

A geometry-optimized AsP structure. Source: Materials Project, functional GGA-PBE.

```
AsP
1.0
1.843 1.064 3.326
-1.843 1.064 3.326
0.000 -2.128 3.326
As P
1 1
direct
0.000 0.000 0.000
0.545 0.545 0.545
```

Results
ΔH_f (0 K)	0.0831	eV per atom
space-group type	R3m
magnetic moment	0.0	μB per cell
density	4495	kg/m3

A geometry-optimized Cs3InF6 structure. Source: Materials Project, functional GGA-PBE.

```
Cs3InF6
1.0
0.000 4.945 4.945
4.945 0.000 4.945
4.945 4.945 0.000
Cs In F
3 1 6
direct
0.000 0.000 0.000
0.250 0.250 0.250
0.750 0.750 0.750
0.500 0.500 0.500
0.286 0.286 0.714
0.286 0.714 0.286
0.286 0.714 0.714
0.714 0.286 0.286
0.714 0.286 0.714
0.714 0.714 0.286
```

Results
ΔH_f (0 K)	-2.9621	eV per atom
space-group type	Fm-3m
density	4308	kg/m3

A geometry-optimized LiCu6OF11 structure. Source: Materials Project, functional GGA-PBE.

```
LiCu6OF11
1.0
4.723 0.000 0.000
0.181 5.445 0.000
0.089 0.152 8.765
Li Cu O F
1 6 1 11
direct
0.000 0.000 0.000
0.218 0.443 0.292
0.243 0.735 0.590
0.427 0.187 0.848
0.748 0.938 0.273
0.783 0.273 0.567
0.786 0.587 0.923
0.056 0.483 0.494
0.015 0.166 0.189
0.080 0.773 0.836
0.476 0.714 0.339
0.481 0.028 0.656
0.485 0.404 0.014
0.525 0.207 0.349
0.547 0.514 0.675
0.603 0.908 0.977
0.973 0.685 0.171
0.982 0.980 0.505
0.989 0.278 0.858
```

Results
ΔH_f (0 K)	-1.7619	eV per atom
space-group type	P1
magnetic moment	1.8	μB per cell
density	4518	kg/m3

A geometry-optimized LaSiPt structure. Source: Materials Project, functional GGA-PBE.

```
LaSiPt
1.0
-2.139 2.139 7.347
2.139 -2.139 7.347
2.139 2.139 -7.347
La Si Pt
2 2 2
direct
0.000 0.000 0.000
0.750 0.250 0.500
0.170 0.670 0.500
0.420 0.420 0.000
0.337 0.837 0.500
0.587 0.587 0.000
```

Results
ΔH_f (0 K)	-1.1523	eV per atom
space-group type	I4_1md
density	8944	kg/m3

A geometry-optimized PrB2C2 structure. Source: Materials Project, functional GGA-PBE.

```
PrB2C2
1.0
5.404 0.000 0.000
0.000 5.404 0.000
0.000 0.000 3.883
Pr B C
2 4 4
direct
0.000 0.000 0.000
0.500 0.500 0.000
0.138 0.362 0.500
0.362 0.862 0.500
0.638 0.138 0.500
0.862 0.638 0.500
0.160 0.660 0.500
0.340 0.160 0.500
0.660 0.840 0.500
0.840 0.340 0.500
```

Results
ΔH_f (0 K)	-0.3941	eV per atom
space-group type	P4/mbm
density	5463	kg/m3

A geometry-optimized Ag11Hg9 structure. Source: Materials Project, functional GGA-PBE.

```
Ag11Hg9
1.0
3.219 0.000 0.000
-1.610 2.788 0.000
0.000 0.000 46.743
Ag Hg
11 9
direct
0.000 0.000 0.000
0.000 0.000 0.095
0.000 0.000 0.303
0.000 0.000 0.401
0.000 0.000 0.500
0.000 0.000 0.600
0.000 0.000 0.701
0.000 0.000 0.802
0.000 0.000 0.899
0.667 0.333 0.048
0.667 0.333 0.851
0.000 0.000 0.199
0.667 0.333 0.144
0.667 0.333 0.255
0.667 0.333 0.352
0.667 0.333 0.451
0.667 0.333 0.550
0.667 0.333 0.651
0.667 0.333 0.751
0.667 0.333 0.950
```

Results
ΔH_f (0 K)	0.0786	eV per atom
space-group type	P3m1
magnetic moment	0.0	μB per cell
density	11843	kg/m3

A geometry-optimized MgTi2Bi4O10 structure. Source: Materials Project, functional GGA-PBE.

```
MgTi2Bi4O10
1.0
3.969 0.000 0.000
0.000 10.325 0.000
-1.972 0.000 6.482
Mg Ti Bi O
1 2 4 10
direct
0.000 0.000 0.000
0.347 0.000 0.695
0.689 0.500 0.393
0.381 0.326 0.772
0.381 0.674 0.772
0.663 0.175 0.332
0.663 0.825 0.332
0.235 0.500 0.476
0.262 0.165 0.533
0.262 0.835 0.533
0.462 0.122 0.937
0.462 0.878 0.937
0.593 0.368 0.194
0.593 0.632 0.194
0.803 0.343 0.615
0.803 0.657 0.615
0.836 0.000 0.682
```

Results
ΔH_f (0 K)	-2.1610	eV per atom
space-group type	Pm
magnetic moment	0.0	μB per cell
density	6976	kg/m3

A geometry-optimized TaCu3Te2Se2 structure. Source: Materials Project, functional GGA-PBE.

```
TaCu3Te2Se2
1.0
4.135 -4.181 0.000
4.135 4.181 0.000
0.000 0.000 5.869
Ta Cu Te Se
1 3 2 2
direct
0.000 0.000 0.000
0.000 0.000 0.490
0.000 0.500 0.004
0.500 0.000 0.004
0.263 0.263 0.735
0.737 0.737 0.735
0.242 0.758 0.240
0.758 0.242 0.240
```

Results
ΔH_f (0 K)	-0.5059	eV per atom
space-group type	Cmm2
magnetic moment	0.0	μB per cell
density	6421	kg/m3

A geometry-optimized Ce3ZrSb5 structure. Source: Materials Project, functional GGA-PBE.

```
Ce3ZrSb5
1.0
9.412 0.000 0.000
-4.706 8.151 0.000
0.000 0.000 6.327
Ce Zr Sb
6 2 10
direct
0.000 0.383 0.250
0.000 0.617 0.750
0.383 0.000 0.250
0.383 0.383 0.750
0.617 0.000 0.750
0.617 0.617 0.250
0.000 0.000 0.000
0.000 0.000 0.500
0.000 0.267 0.750
0.000 0.733 0.250
0.267 0.000 0.750
0.267 0.267 0.250
0.333 0.667 0.000
0.333 0.667 0.500
0.667 0.333 0.000
0.667 0.333 0.500
0.733 0.000 0.250
0.733 0.733 0.750
```

Results
ΔH_f (0 K)	-1.0611	eV per atom
space-group type	P6_3/mcm
density	7665	kg/m3